A geometry-optimized BaMgBi4O8 structure. Source: Materials Project, functional GGA-PBE.

Cell lengths 6.2572, 6.2572, 7.4576 Å; angles 90.00, 90.00, 120.00 degrees
Space group P-31m (No. 162)
Inequivalent atoms, fractional coordinates:
Ba: 0.0000 0.0000 0.0000 (multiplicity 1)
Mg: 0.0000 0.0000 0.5000 (multiplicity 1)
Bi: 0.3333 0.6667 0.2831 (multiplicity 4)
O: 0.0000 0.2767 0.3088 (multiplicity 6)
O: 0.3333 0.6667 0.0000 (multiplicity 2)

E_form in meV per atom: -1849

A geometry-optimized MgNb2P2O10 structure. Source: Materials Project, functional GGA-PBE.

Cell lengths 4.285, 6.597, 6.858 Å; angles 90.00, 93.52, 90.00 degrees
Space group Pm (No. 6)
Inequivalent atoms, fractional coordinates:
Mg: 0.000 0.000 0.000 (multiplicity 1)
Nb: 0.079 0.500 0.751 (multiplicity 1)
Nb: 0.557 0.000 0.298 (multiplicity 1)
P: 0.327 0.500 0.266 (multiplicity 1)
P: 0.378 0.000 0.756 (multiplicity 1)
O: 0.049 0.000 0.280 (multiplicity 1)
O: 0.133 0.500 0.448 (multiplicity 1)
O: 0.136 0.500 0.067 (multiplicity 1)
O: 0.154 0.182 0.771 (multiplicity 2)
O: 0.537 0.306 0.272 (multiplicity 2)
O: 0.556 0.000 0.964 (multiplicity 1)
O: 0.602 0.000 0.597 (multiplicity 1)
O: 0.661 0.500 0.749 (multiplicity 1)

E_form in meV per atom: -2667
Excess energy over the best structure of this formula in the dataset in meV per atom: 120

A geometry-optimized Ba2BiIrO6 structure. Source: Materials Project, functional GGA-PBE.

Cell lengths 8.596, 8.596, 8.596 Å; angles 90.00, 90.00, 90.00 degrees
Space group Fm-3m (No. 225)
Inequivalent atoms, fractional coordinates:
Ba: 0.250 0.250 0.250 (multiplicity 8)
Bi: 0.000 0.000 0.000 (multiplicity 4)
Ir: 0.000 0.000 0.500 (multiplicity 4)
O: 0.000 0.000 0.268 (multiplicity 24)

E_form in meV per atom: -2121
Excess energy over the best structure of this formula in the dataset in meV per atom: 6

A geometry-optimized SnPt3 structure. Source: Materials Project, functional GGA-PBE.

Cell lengths 4.066, 4.066, 4.066 Å; angles 90.00, 90.00, 90.00 degrees
Space group Pm-3m (No. 221)
Inequivalent atoms, fractional coordinates:
Sn: 0.000 0.000 0.000 (multiplicity 1)
Pt: 0.000 0.500 0.500 (multiplicity 3)

E_form in meV per atom: -377

A geometry-optimized LiTl3 structure. Source: Materials Project, functional GGA-PBE.

Cell lengths 4.785, 4.785, 4.785 Å; angles 90.00, 90.00, 90.00 degrees
Space group Pm-3m (No. 221)
Inequivalent atoms, fractional coordinates:
Li: 0.000 0.000 0.000 (multiplicity 1)
Tl: 0.000 0.500 0.500 (multiplicity 3)

E_form in meV per atom: -68

A geometry-optimized Y2As7Rh12 structure. Source: Materials Project, functional GGA-PBE.

Cell lengths 9.9817, 9.9817, 3.9410 Å; angles 90.00, 90.00, 120.00 degrees
Space group P3 (No. 143)
Inequivalent atoms, fractional coordinates:
Y: 0.0000 0.0000 0.0000 (multiplicity 1)
Y: 0.3333 0.6667 0.4979 (multiplicity 1)
As: 0.0715 0.6218 0.9998 (multiplicity 3)
As: 0.2603 0.0462 0.5009 (multiplicity 3)
As: 0.6667 0.3333 0.3337 (multiplicity 1)
Rh: 0.0480 0.7816 0.4998 (multiplicity 3)
Rh: 0.1157 0.4007 0.0001 (multiplicity 3)
Rh: 0.4080 0.2193 0.0008 (multiplicity 3)
Rh: 0.5146 0.0653 0.4995 (multiplicity 3)

E_form in meV per atom: -691

Which value of E_form does entry 3 give? -2121 meV per atom

The highest E_form belongs to which entry? LiTl3

Which of these has the highest E_form? LiTl3